Record 1
Entry from the Materials Project database: an optimized crystal structure of Bi2S3O12 (PBE).

Output
Formation enthalpy at 0 K, eV/atom: -1.86
Polymorph energy (0 for the lowest one), eV/f.u.: 0.12
Calculated total energy, eV/cell: -205.77
Symmetry: No. 15

abc: 9.4292 9.4292 8.3509
angles: 78.48 78.48 42.68
Last column: nearest neighbours and their distance in Å.
Element x y z (fractional)
Bi1 0.5489 0.7516 0.4499  6 O 2.34-2.52
Bi2 0.2484 0.4511 0.0501  6 O 2.34-2.52
Bi3 0.4511 0.2484 0.5501  6 O 2.34-2.52
Bi4 0.7516 0.5489 0.9499  6 O 2.34-2.52
S1 0.0967 0.2759 0.3088  4 O 1.47-1.51
S2 0.7241 0.9033 0.1912  4 O 1.47-1.51
S3 0.9033 0.7241 0.6912  4 O 1.47-1.51
S4 0.2759 0.0967 0.8088  4 O 1.47-1.51
S5 0.5745 0.4255 0.2500  4 O 1.49-1.51
S6 0.4255 0.5745 0.7500  4 O 1.49-1.51
O1 0.9087 0.3917 0.4251  1 S 1.47
O2 0.6083 0.0913 0.0749  1 S 1.47
O3 0.0913 0.6083 0.5749  1 S 1.47
O4 0.3917 0.9087 0.9251  1 S 1.47
O5 0.2178 0.3213 0.3230  1 S 1.51
O6 0.6787 0.7822 0.1770  1 S 1.51
O7 0.7822 0.6787 0.6770  1 S 1.51
O8 0.3213 0.2178 0.8230  1 S 1.51
O9 0.0432 0.3466 0.1325  1 S 1.51
O10 0.6534 0.9568 0.3675  1 S 1.51
O11 0.9568 0.6534 0.8675  1 S 1.51
O12 0.3466 0.0432 0.6325  1 S 1.51
O13 0.2308 0.0479 0.3363  1 S 1.48
O14 0.9521 0.7692 0.1637  1 S 1.48
O15 0.7692 0.9521 0.6637  1 S 1.48
O16 0.0479 0.2308 0.8363  1 S 1.48
O17 0.5197 0.6207 0.2526  1 S 1.51
O18 0.3793 0.4803 0.2474  1 S 1.51
O19 0.4803 0.3793 0.7474  1 S 1.51
O20 0.6207 0.5197 0.7526  1 S 1.51
O21 0.6728 0.2852 0.4021  1 S 1.49
O22 0.7148 0.3272 0.0979  1 S 1.49
O23 0.3272 0.7148 0.5979  1 S 1.49
O24 0.2852 0.6728 0.9021  1 S 1.49


Record 2
Entry from the Materials Project database: an optimized crystal structure of Bi2S3O12 (PBE).

Output
Formation enthalpy at 0 K, eV/atom: -1.86
Polymorph energy (0 for the lowest one), eV/f.u.: 0.09
Calculated total energy, eV/cell: -411.68
Total magnetic moment, Bohr magnetons per cell: 0.001
Symmetry: No. 14

abc: 9.3454 9.3613 15.9571
angles: 54.22 90.00 90.00
Last column: nearest neighbours and their distance in Å.
Element x y z (fractional)
Bi1 0.4639 0.3685 0.3826  6 O 2.33-2.37
Bi2 0.9639 0.6315 0.1174  6 O 2.33-2.37
Bi3 0.5384 0.8651 0.8852  6 O 2.30-2.40
Bi4 0.0384 0.1349 0.6148  6 O 2.30-2.40
Bi5 0.9616 0.8651 0.3852  6 O 2.30-2.40
Bi6 0.4616 0.1349 0.1148  6 O 2.30-2.40
Bi7 0.0361 0.3685 0.8826  6 O 2.33-2.37
Bi8 0.5361 0.6315 0.6174  6 O 2.33-2.37
S1 0.7544 0.4553 0.5063  4 O 1.49
S2 0.6171 0.7456 0.1543  4 O 1.48-1.49
S3 0.8933 0.0527 0.8462  4 O 1.48-1.50
S4 0.1171 0.2544 0.3457  4 O 1.48-1.49
S5 0.3933 0.9473 0.6538  4 O 1.48-1.50
S6 0.2544 0.5447 0.9937  4 O 1.49
S7 0.7456 0.4553 0.0063  4 O 1.49
S8 0.6067 0.0527 0.3462  4 O 1.48-1.50
S9 0.8829 0.7456 0.6543  4 O 1.48-1.49
S10 0.1067 0.9473 0.1538  4 O 1.48-1.50
S11 0.3829 0.2544 0.8457  4 O 1.48-1.49
S12 0.2456 0.5447 0.4937  4 O 1.49
O1 0.1335 0.4105 0.5572  1 S 1.49
O2 0.1208 0.7932 0.1493  1 S 1.49
O3 0.2982 0.5270 0.4121  1 S 1.49
O4 0.4040 0.1205 0.8246  1 S 1.49
O5 0.6350 0.4807 0.4374  1 S 1.49
O6 0.7633 0.6701 0.1908  1 S 1.49
O7 0.6021 0.8283 0.0422  1 S 1.48
O8 0.0108 0.0883 0.7724  1 S 1.50
O9 0.7558 0.0277 0.8094  1 S 1.49
O10 0.8153 0.2752 0.5569  1 S 1.49
O11 0.9318 0.8927 0.9492  1 S 1.48
O12 0.5073 0.6035 0.2115  1 S 1.49
O13 0.0073 0.3965 0.2885  1 S 1.49
O14 0.4318 0.1073 0.5508  1 S 1.48
O15 0.3153 0.7248 0.9431  1 S 1.49
O16 0.2558 0.9723 0.6906  1 S 1.49
O17 0.1021 0.1717 0.4578  1 S 1.48
O18 0.5108 0.9117 0.7276  1 S 1.50
O19 0.2633 0.3299 0.3092  1 S 1.49
O20 0.1350 0.5193 0.0626  1 S 1.49
O21 0.7982 0.4730 0.0879  1 S 1.49
O22 0.6208 0.2068 0.3507  1 S 1.49
O23 0.9040 0.8795 0.6754  1 S 1.49
O24 0.6334 0.5895 0.9428  1 S 1.49
O25 0.3666 0.4105 0.0572  1 S 1.49
O26 0.0960 0.1205 0.3246  1 S 1.49
O27 0.3792 0.7932 0.6493  1 S 1.49
O28 0.2018 0.5270 0.9121  1 S 1.49
O29 0.8650 0.4807 0.9374  1 S 1.49
O30 0.7367 0.6701 0.6908  1 S 1.49
O31 0.4892 0.0883 0.2724  1 S 1.50
O32 0.8979 0.8283 0.5422  1 S 1.48
O33 0.7442 0.0277 0.3094  1 S 1.49
O34 0.6847 0.2752 0.0569  1 S 1.49
O35 0.5682 0.8927 0.4492  1 S 1.48
O36 0.9927 0.6035 0.7115  1 S 1.49
O37 0.4927 0.3965 0.7885  1 S 1.49
O38 0.0682 0.1073 0.0508  1 S 1.48
O39 0.1847 0.7248 0.4431  1 S 1.49
O40 0.2442 0.9723 0.1906  1 S 1.49
O41 0.9892 0.9117 0.2276  1 S 1.50
O42 0.3979 0.1717 0.9578  1 S 1.48
O43 0.2367 0.3299 0.8092  1 S 1.49
O44 0.3650 0.5193 0.5626  1 S 1.49
O45 0.5960 0.8795 0.1754  1 S 1.49
O46 0.7018 0.4730 0.5879  1 S 1.49
O47 0.8792 0.2068 0.8507  1 S 1.49
O48 0.8666 0.5895 0.4428  1 S 1.49